Li9Mn2Co5O16 | the Materials Project | PBE+U | optimized geometry; space group = P1; polymorph energy (0 for the lowest one) = 49 meV per atom; ΔE_f = -1.815 eV per atom; total magnetic moment = 10.000 Bohr magnetons per cell
1.0
5.040 0.000 0.000
-1.921 7.452 0.000
-1.325 -1.531 7.647
Li O Mn Co
9 16 2 5
Direct
0.997 0.128 0.378
0.984 0.870 0.617
0.000 0.619 0.874
0.495 0.746 0.745
0.498 0.993 0.499
0.497 0.623 0.372
0.013 0.382 0.133
0.507 0.263 0.252
0.501 0.499 0.005
0.745 0.109 0.113
0.745 0.868 0.344
0.737 0.767 0.999
0.760 0.274 0.495
0.771 0.516 0.251
0.253 0.138 0.640
0.270 0.888 0.902
0.239 0.382 0.394
0.750 0.359 0.862
0.252 0.239 0.002
0.755 0.014 0.744
0.228 0.729 0.511
0.236 0.482 0.747
0.248 0.644 0.131
0.259 0.977 0.252
0.753 0.608 0.622
0.502 0.871 0.130
0.000 0.002 0.000
0.505 0.130 0.872
0.006 0.505 0.497
0.497 0.383 0.616
0.000 0.250 0.748
0.994 0.744 0.251

MnCoP2O8 | the Materials Project | PBE+U | optimized geometry; space group = R3; polymorph energy (0 for the lowest one) = 55 meV per atom; ΔE_f = -2.184 eV per atom; total magnetic moment = 20.673 Bohr magnetons per cell
1.0
7.278 -4.300 0.000
7.278 4.300 0.000
4.737 0.000 7.002
P O Co Mn
6 24 3 3
Direct
0.542 0.251 0.960
0.750 0.043 0.455
0.043 0.455 0.750
0.960 0.542 0.251
0.251 0.960 0.542
0.455 0.750 0.043
0.554 0.414 0.761
0.093 0.943 0.742
0.612 0.813 0.012
0.414 0.761 0.554
0.385 0.186 0.993
0.253 0.908 0.061
0.318 0.119 0.502
0.012 0.612 0.813
0.884 0.489 0.689
0.119 0.502 0.318
0.502 0.318 0.119
0.813 0.012 0.612
0.742 0.093 0.943
0.908 0.061 0.253
0.993 0.385 0.186
0.439 0.586 0.244
0.586 0.244 0.439
0.244 0.439 0.586
0.061 0.253 0.908
0.761 0.554 0.414
0.943 0.742 0.093
0.186 0.993 0.385
0.689 0.884 0.489
0.489 0.689 0.884
0.997 0.997 0.997
0.501 0.501 0.501
0.857 0.857 0.857
0.142 0.142 0.142
0.358 0.358 0.358
0.643 0.643 0.643